A plane-wave DFT calculation with PBE-GGA was carried out for crystalline Tb3Ni11Ge4 at its relaxed geometry.

a = 8.3373 Å, b = 8.3373 Å, c = 8.5964 Å
α = 90.00°, β = 90.00°, γ = 120.00°
Space group P6_3/mmc (No. 194)
Inequivalent atoms, fractional coordinates:
Tb1 0.1954 0.3907 0.2500 [6 per cell]
Ni1 0.1321 0.5661 0.7500 [6 per cell]
Ni2 0.1583 0.3167 0.5961 [12 per cell]
Ni3 0.3333 0.6667 0.5064 [4 per cell]
Ge1 0.0000 0.0000 0.2500 [2 per cell]
Ge2 0.0000 0.5000 0.0000 [6 per cell]

Properties
E_form = -7.83 eV per formula unit
VASP energy = -5.767 eV per atom


A plane-wave DFT calculation with PBE-GGA was carried out for crystalline Ca6Si2H6O13 at its relaxed geometry.

a = 10.1067 Å, b = 10.1067 Å, c = 7.5585 Å
α = 90.00°, β = 90.00°, γ = 120.00°
Space group P-3 (No. 147)
Inequivalent atoms, fractional coordinates:
Ca1 0.0419 0.3750 0.3774 [6 per cell]
Ca2 0.0458 0.3828 0.8711 [6 per cell]
Si1 0.3333 0.6667 0.0966 [2 per cell]
Si2 0.3333 0.6667 0.6569 [2 per cell]
H1 0.0039 0.1661 0.6287 [6 per cell]
H2 0.0059 0.8256 0.8757 [6 per cell]
O1 0.0673 0.7955 0.3689 [6 per cell]
O2 0.0756 0.7853 0.8811 [6 per cell]
O3 0.1524 0.5562 0.1477 [6 per cell]
O4 0.1531 0.5549 0.6053 [6 per cell]
O5 0.3333 0.6667 0.8766 [2 per cell]

Properties
E_form = -74.00 eV per formula unit
VASP energy = -6.394 eV per atom


A plane-wave DFT calculation with PBE-GGA was carried out for crystalline Th2NiB10 at its relaxed geometry.

a = 5.6483 Å, b = 11.2045 Å, c = 4.1778 Å
α = 90.00°, β = 90.00°, γ = 90.00°
Space group Pbam (No. 55)
Inequivalent atoms, fractional coordinates:
Th1 0.1935 0.1367 0.0000 [4 per cell]
Ni1 0.0000 0.5000 0.5000 [2 per cell]
B1 0.0367 0.3112 0.5000 [4 per cell]
B2 0.1246 0.9595 0.5000 [4 per cell]
B3 0.1524 0.8026 0.5000 [4 per cell]
B4 0.2021 0.3861 0.1998 [8 per cell]

Properties
E_form = -7.77 eV per formula unit
VASP energy = -7.321 eV per atom


A plane-wave DFT calculation with PBE-GGA was carried out for crystalline KCaTbBiO6 at its relaxed geometry.

a = 8.6460 Å, b = 8.6460 Å, c = 8.6460 Å
α = 90.00°, β = 90.00°, γ = 90.00°
Space group F-43m (No. 216)
Inequivalent atoms, fractional coordinates:
K1 0.0000 0.0000 0.0000 [4 per cell]
Ca1 0.0000 0.0000 0.5000 [4 per cell]
Tb1 0.2500 0.2500 0.2500 [4 per cell]
Bi1 0.2500 0.2500 0.7500 [4 per cell]
O1 0.0067 0.2500 0.7500 [24 per cell]

Properties
E_form = -22.78 eV per formula unit
VASP energy = -5.998 eV per atom